No. 1
# HfMg6ZnO8 | the Materials Project database | PBE | optimized geometry
# Total moment   0.88 μB per cell
# E (MP2020)   -6.4561 eV per atom
# Energy   -97.80 eV/cell
# Crystal system   tetragonal
data_HfMg6ZnO8
_cell_length_a 8.995
_cell_length_b 4.348
_cell_length_c 4.348
_cell_angle_alpha 90.00
_cell_angle_beta 90.00
_cell_angle_gamma 90.00
_symmetry_space_group_name_H-M 'P 1'
_symmetry_Int_Tables_number 1
loop_
_symmetry_equiv_pos_as_xyz
'x,y,z'
loop_
_atom_site_label
_atom_site_type_symbol
_atom_site_fract_x
_atom_site_fract_y
_atom_site_fract_z
_atom_site_occupancy
Mg1 Mg 0.237 0.000 0.500 1
Mg2 Mg 0.000 0.500 0.500 1
Hf1 Hf 0.500 0.000 0.000 1
Mg3 Mg 0.237 0.500 0.000 1
O1 O 0.000 0.000 0.500 1
Mg4 Mg 0.500 0.500 0.500 1
O2 O 0.500 0.000 0.500 1
O3 O 0.500 0.500 0.000 1
O4 O 0.259 0.000 0.000 1
O5 O 0.000 0.500 0.000 1
O6 O 0.252 0.500 0.500 1
O7 O 0.748 0.500 0.500 1
Zn1 Zn 0.000 0.000 0.000 1
Mg5 Mg 0.763 0.000 0.500 1
O8 O 0.741 0.000 0.000 1
Mg6 Mg 0.763 0.500 0.000 1


No. 2
# HfMg6ZnO8 | the Materials Project database | PBE | optimized geometry
# Total moment   1.11 μB per cell
# E (MP2020)   -6.4630 eV per atom
# Energy   -97.91 eV/cell
# Crystal system   tetragonal
data_HfMg6ZnO8
_cell_length_a 8.907
_cell_length_b 4.349
_cell_length_c 4.349
_cell_angle_alpha 90.00
_cell_angle_beta 90.00
_cell_angle_gamma 90.00
_symmetry_space_group_name_H-M 'P 1'
_symmetry_Int_Tables_number 1
loop_
_symmetry_equiv_pos_as_xyz
'x,y,z'
loop_
_atom_site_label
_atom_site_type_symbol
_atom_site_fract_x
_atom_site_fract_y
_atom_site_fract_z
_atom_site_occupancy
O1 O 0.000 0.500 0.000 1
O2 O 0.732 0.000 0.000 1
Mg1 Mg 0.739 0.000 0.500 1
Mg2 Mg 0.261 0.500 0.000 1
Mg3 Mg 0.739 0.500 0.000 1
Mg4 Mg 0.500 0.500 0.500 1
Mg5 Mg 0.500 0.000 0.000 1
O3 O 0.744 0.500 0.500 1
O4 O 0.268 0.000 0.000 1
Hf1 Hf 0.000 0.500 0.500 1
O5 O 0.500 0.500 0.000 1
O6 O 0.500 0.000 0.500 1
Zn1 Zn 0.000 0.000 0.000 1
O7 O 0.000 0.000 0.500 1
Mg6 Mg 0.261 0.000 0.500 1
O8 O 0.256 0.500 0.500 1


No. 3
# HfMg6Sb | the Materials Project database | PBE | optimized geometry
# Total moment   0.01 μB per cell
# E (MP2020)   -2.9908 eV per atom
# Energy   -47.47 eV/cell
data_HfMg6Sb
_cell_length_a 5.324
_cell_length_b 6.074
_cell_length_c 11.175
_cell_angle_alpha 90.00
_cell_angle_beta 90.00
_cell_angle_gamma 90.00
_symmetry_space_group_name_H-M 'P 1'
_symmetry_Int_Tables_number 1
loop_
_symmetry_equiv_pos_as_xyz
'x,y,z'
loop_
_atom_site_label
_atom_site_type_symbol
_atom_site_fract_x
_atom_site_fract_y
_atom_site_fract_z
_atom_site_occupancy
Mg1 Mg 0.000 0.757 0.581 1
Mg2 Mg 0.500 0.748 0.417 1
Mg3 Mg 0.500 0.248 0.917 1
Mg4 Mg 0.500 0.252 0.417 1
Mg5 Mg 0.000 0.257 0.081 1
Mg6 Mg 0.000 0.500 0.835 1
Hf1 Hf 0.500 0.000 0.669 1
Sb1 Sb 0.500 0.500 0.667 1
Mg7 Mg 0.500 0.752 0.917 1
Mg8 Mg 0.000 0.500 0.330 1
Hf2 Hf 0.500 0.500 0.169 1
Sb2 Sb 0.500 0.000 0.167 1
Mg9 Mg 0.000 0.243 0.581 1
Mg10 Mg 0.000 0.000 0.830 1
Mg11 Mg 0.000 0.000 0.335 1
Mg12 Mg 0.000 0.743 0.081 1


No. 4
# HfMg6Sb | the Materials Project database | PBE | optimized geometry
# Total moment   0.01 μB per cell
# E (MP2020)   -2.9933 eV per atom
# Energy   -47.51 eV/cell
data_HfMg6Sb
_cell_length_a 5.102
_cell_length_b 6.475
_cell_length_c 10.859
_cell_angle_alpha 90.00
_cell_angle_beta 90.00
_cell_angle_gamma 90.00
_symmetry_space_group_name_H-M 'P 1'
_symmetry_Int_Tables_number 1
loop_
_symmetry_equiv_pos_as_xyz
'x,y,z'
loop_
_atom_site_label
_atom_site_type_symbol
_atom_site_fract_x
_atom_site_fract_y
_atom_site_fract_z
_atom_site_occupancy
Mg1 Mg 0.000 0.249 0.083 1
Mg2 Mg 0.000 0.751 0.083 1
Mg3 Mg 0.000 0.251 0.583 1
Mg4 Mg 0.500 0.756 0.419 1
Mg5 Mg 0.000 0.000 0.334 1
Mg6 Mg 0.000 0.749 0.583 1
Mg7 Mg 0.500 0.000 0.165 1
Sb1 Sb 0.000 0.000 0.828 1
Sb2 Sb 0.000 0.500 0.328 1
Mg8 Mg 0.500 0.744 0.919 1
Mg9 Mg 0.500 0.500 0.665 1
Hf1 Hf 0.500 0.500 0.169 1
Mg10 Mg 0.000 0.500 0.834 1
Mg11 Mg 0.500 0.256 0.919 1
Mg12 Mg 0.500 0.244 0.419 1
Hf2 Hf 0.500 0.000 0.669 1


No. 5
# HfMg14Sb | the Materials Project database | PBE | optimized geometry
# Total moment   0.00 μB per cell
# E (MP2020)   -2.2881 eV per atom
# Energy   -36.42 eV/cell
# Crystal system   hexagonal
data_HfMg14Sb
_cell_length_a 6.359
_cell_length_b 6.359
_cell_length_c 10.419
_cell_angle_alpha 90.00
_cell_angle_beta 90.00
_cell_angle_gamma 120.00
_symmetry_space_group_name_H-M 'P 1'
_symmetry_Int_Tables_number 1
loop_
_symmetry_equiv_pos_as_xyz
'x,y,z'
loop_
_atom_site_label
_atom_site_type_symbol
_atom_site_fract_x
_atom_site_fract_y
_atom_site_fract_z
_atom_site_occupancy
Mg1 Mg 0.330 0.659 0.871 1
Hf1 Hf 0.167 0.333 0.625 1
Mg2 Mg 0.330 0.659 0.379 1
Mg3 Mg 0.330 0.170 0.871 1
Mg4 Mg 0.841 0.170 0.379 1
Mg5 Mg 0.164 0.832 0.125 1
Mg6 Mg 0.833 0.667 0.870 1
Mg7 Mg 0.664 0.328 0.625 1
Mg8 Mg 0.330 0.170 0.379 1
Mg9 Mg 0.841 0.170 0.871 1
Mg10 Mg 0.664 0.836 0.625 1
Mg11 Mg 0.833 0.667 0.380 1
Mg12 Mg 0.668 0.832 0.125 1
Mg13 Mg 0.172 0.836 0.625 1
Mg14 Mg 0.668 0.336 0.125 1
Sb1 Sb 0.167 0.333 0.125 1


No. 6
# HfMg14Sb | the Materials Project database | PBE | optimized geometry
# Total moment   0.00 μB per cell
# E (MP2020)   -2.3013 eV per atom
# Energy   -36.63 eV/cell
# Crystal system   orthorhombic
data_HfMg14Sb
_cell_length_a 6.402
_cell_length_b 6.278
_cell_length_c 10.336
_cell_angle_alpha 90.00
_cell_angle_beta 90.00
_cell_angle_gamma 119.36
_symmetry_space_group_name_H-M 'P 1'
_symmetry_Int_Tables_number 1
loop_
_symmetry_equiv_pos_as_xyz
'x,y,z'
loop_
_atom_site_label
_atom_site_type_symbol
_atom_site_fract_x
_atom_site_fract_y
_atom_site_fract_z
_atom_site_occupancy
Mg1 Mg 0.666 0.333 0.625 1
Mg2 Mg 0.667 0.831 0.125 1
Mg3 Mg 0.831 0.165 0.376 1
Mg4 Mg 0.666 0.833 0.625 1
Mg5 Mg 0.167 0.833 0.625 1
Mg6 Mg 0.831 0.165 0.874 1
Mg7 Mg 0.836 0.668 0.374 1
Mg8 Mg 0.334 0.164 0.376 1
Sb1 Sb 0.164 0.332 0.125 1
Mg9 Mg 0.334 0.164 0.874 1
Hf1 Hf 0.166 0.833 0.125 1
Mg10 Mg 0.836 0.668 0.876 1
Mg11 Mg 0.334 0.670 0.874 1
Mg12 Mg 0.667 0.336 0.125 1
Mg13 Mg 0.334 0.670 0.376 1
Mg14 Mg 0.166 0.333 0.625 1


| no. | energy of formation (meV/atom) |
| --- | --- |
| 1 | -2681 |
| 2 | -2688 |
| 3 | -30 |
| 4 | -32 |
| 5 | -7 |
| 6 | -21 |